Entry from the Materials Project: an optimized crystal structure of Na10La4Ga4Si5S7O48 (PBE).

a = 9.2686 Å, b = 15.9156 Å, c = 23.2442 Å
α = 88.05°, β = 89.46°, γ = 89.95°
Element x y z (fractional)
Na 0.0000 0.0000 0.0000
Na 0.0010 0.6659 0.6377
Na 0.0035 0.3439 0.9990
Na 0.1311 0.1545 0.1448
Na 0.1373 0.5099 0.4842
Na 0.1498 0.8484 0.4813
Na 0.1622 0.8444 0.1371
Na 0.1790 0.1794 0.4646
Na 0.1865 0.5143 0.7985
Na 0.3023 0.3302 0.3887
Na 0.3177 0.0032 0.0618
Na 0.3303 0.6665 0.7205
Na 0.3404 0.6617 0.2451
Na 0.3419 0.9941 0.5578
Na 0.3611 0.3234 0.9051
Na 0.4418 0.5122 0.3113
Na 0.4607 0.1838 0.9813
Na 0.5209 0.1500 0.6446
Na 0.6268 0.9858 0.4907
Na 0.6560 0.3602 0.4720
Na 0.6809 0.0156 0.7994
Na 0.7010 0.6787 0.4720
Na 0.7901 0.4822 0.0807
Na 0.8130 0.8195 0.3912
Na 0.8165 0.1864 0.2218
Na 0.8207 0.1718 0.7287
Na 0.8401 0.8262 0.8969
Na 0.8439 0.4948 0.5677
Na 0.9692 0.0086 0.3043
Na 0.9704 0.6795 0.9755
La 0.3027 0.6801 0.8848
La 0.3157 0.3511 0.5510
La 0.3194 0.0112 0.9184
La 0.3238 0.3405 0.7441
La 0.3275 0.0037 0.2130
La 0.3266 0.6599 0.0925
La 0.3379 0.0013 0.7109
La 0.7985 0.5031 0.9203
La 0.8193 0.1809 0.5688
La 0.8260 0.1883 0.8861
La 0.8277 0.1885 0.3770
La 0.8278 0.8333 0.7424
Ga 0.2980 0.6757 0.5726
Ga 0.3063 0.3309 0.2451
Ga 0.3418 0.0156 0.4146
Ga 0.3433 0.6953 0.3884
Ga 0.3477 0.3444 0.0523
Ga 0.7477 0.5218 0.2170
Ga 0.8021 0.8358 0.5442
Ga 0.8054 0.8364 0.2478
Ga 0.8345 0.8437 0.0551
Ga 0.8413 0.1658 0.0829
Ga 0.8485 0.5192 0.7131
Ga 0.8620 0.5317 0.4094
Si 0.0344 0.6823 0.4795
Si 0.1333 0.1839 0.9956
Si 0.1514 0.8252 0.9961
Si 0.1677 0.5097 0.6476
Si 0.1919 0.1589 0.3113
Si 0.4586 0.4725 0.1576
Si 0.4678 0.8199 0.4815
Si 0.4874 0.1642 0.8145
Si 0.5028 0.1716 0.4823
Si 0.6675 0.6614 0.3176
Si 0.6748 0.3167 0.9971
Si 0.6787 0.9871 0.6415
Si 0.9464 0.9855 0.1522
Si 0.9687 0.3462 0.4755
Si 0.9730 0.6532 0.8160
S 0.0088 0.0063 0.8161
S 0.0322 0.3399 0.1494
S 0.1154 0.5078 0.3122
S 0.1281 0.8360 0.6346
S 0.1580 0.1828 0.6445
S 0.1715 0.8512 0.3203
S 0.1770 0.5109 0.9824
S 0.4713 0.5408 0.4775
S 0.4742 0.1997 0.1479
S 0.4882 0.8499 0.8194
S 0.5250 0.5141 0.8058
S 0.5473 0.8388 0.1465
S 0.6306 0.9961 0.3197
S 0.6363 0.6858 0.9865
S 0.6549 0.3512 0.6483
S 0.6652 0.6845 0.6405
S 0.6703 0.3718 0.3128
S 0.6845 0.0188 0.9910
S 0.9460 0.6945 0.1534
S 0.9619 0.3643 0.8087
S 0.9833 0.0130 0.4769
O 0.0017 0.1733 0.6500
O 0.0110 0.8470 0.3185
O 0.0129 0.5160 0.2653
O 0.0157 0.1600 0.3158
O 0.0176 0.5009 0.9824
O 0.0263 0.8365 0.5858
O 0.0266 0.1563 0.0509
O 0.0326 0.2046 0.9397
O 0.0375 0.5010 0.3705
O 0.0483 0.8250 0.6904
O 0.0892 0.0050 0.8711
O 0.1065 0.6888 0.1532
O 0.1074 0.0001 0.7662
O 0.1170 0.6567 0.5397
O 0.1199 0.3486 0.0956
O 0.1221 0.3674 0.8098
O 0.1259 0.9932 0.1524
O 0.1293 0.3227 0.2003
O 0.1409 0.3658 0.4826
O 0.1416 0.9999 0.4686
O 0.1520 0.6555 0.8094
O 0.1589 0.7014 0.4299
O 0.1776 0.7642 0.9406
O 0.1910 0.4541 0.5907
O 0.1977 0.2267 0.5891
O 0.2064 0.4297 0.3110
O 0.2097 0.5727 0.0263
O 0.2103 0.9216 0.9893
O 0.2116 0.9079 0.3672
O 0.2130 0.2303 0.6933
O 0.2137 0.9139 0.6338
O 0.2155 0.5809 0.3145
O 0.2154 0.7796 0.0540
O 0.2208 0.1075 0.2528
O 0.2240 0.7612 0.6333
O 0.2245 0.8851 0.2632
O 0.2297 0.4659 0.7067
O 0.2314 0.0999 0.6434
O 0.2314 0.5424 0.9253
O 0.2333 0.2676 0.0049
O 0.2393 0.7665 0.3268
O 0.2400 0.1023 0.9890
O 0.2426 0.4278 0.9938
O 0.2444 0.6031 0.6377
O 0.2581 0.1064 0.3696
O 0.2646 0.2549 0.3053
O 0.3742 0.7728 0.5334
O 0.3934 0.5684 0.1615
O 0.3941 0.2532 0.4814
O 0.3937 0.9145 0.4685
O 0.3996 0.4226 0.2158
O 0.4031 0.1144 0.1477
O 0.4035 0.5775 0.4243
O 0.4084 0.0833 0.4741
O 0.4126 0.2573 0.8159
O 0.4155 0.2404 0.0946
O 0.4190 0.4277 0.0980
O 0.4191 0.4516 0.4809
O 0.4218 0.4421 0.8077
O 0.4265 0.5870 0.5290
O 0.4266 0.8914 0.8699
O 0.4301 0.2451 0.1996
O 0.4346 0.1081 0.7588
O 0.4378 0.5922 0.8022
O 0.4378 0.8914 0.7656
O 0.4424 0.1157 0.8761
O 0.4424 0.7614 0.8175
O 0.4490 0.7653 0.1505
O 0.4565 0.9158 0.1400
O 0.4733 0.7604 0.4258
O 0.4891 0.6659 0.3281
O 0.5000 0.3314 0.0000
O 0.5010 0.0003 0.6354
O 0.5107 0.3696 0.3132
O 0.5112 0.6752 0.6298
O 0.5244 0.0153 0.9911
O 0.5394 0.0017 0.2687
O 0.5398 0.6744 0.0365
O 0.5409 0.9932 0.3738
O 0.5458 0.3392 0.6948
O 0.5553 0.6849 0.9320
O 0.5797 0.3611 0.5920
O 0.5821 0.1561 0.5448
O 0.5975 0.5096 0.8627
O 0.6268 0.8405 0.2016
O 0.6279 0.1870 0.4337
O 0.6282 0.5090 0.7576
O 0.6303 0.5379 0.4751
O 0.6312 0.1895 0.1470
O 0.6395 0.4858 0.1576
O 0.6432 0.8339 0.4931
O 0.6435 0.8336 0.0959
O 0.6473 0.8560 0.8225
O 0.6638 0.1636 0.8097
O 0.6736 0.5982 0.2630
O 0.6838 0.2706 0.9350
O 0.6867 0.7336 0.6926
O 0.7111 0.9473 0.7065
O 0.7164 0.4112 0.3663
O 0.7199 0.7650 0.9889
O 0.7211 0.9183 0.3190
O 0.7264 0.2845 0.3074
O 0.7294 0.0694 0.3186
O 0.7294 0.0742 0.0375
O 0.7345 0.4172 0.2610
O 0.7371 0.9265 0.5887
O 0.7389 0.6010 0.6482
O 0.7421 0.0508 0.9345
O 0.7426 0.2729 0.6495
O 0.7432 0.6140 0.9886
O 0.7449 0.4266 0.6572
O 0.7450 0.9330 0.9992
O 0.7456 0.0828 0.6399
O 0.7456 0.7268 0.5899
O 0.7460 0.7537 0.3027
O 0.7509 0.2541 0.0457
O 0.7519 0.6176 0.3738
O 0.7656 0.4055 0.9968
O 0.8780 0.4345 0.4591
O 0.8789 0.0830 0.1456
O 0.8795 0.3131 0.5332
O 0.8802 0.6099 0.1613
O 0.8908 0.9352 0.2132
O 0.8974 0.7312 0.0965
O 0.9063 0.7477 0.8158
O 0.9065 0.4164 0.7596
O 0.9071 0.9338 0.8184
O 0.9101 0.7527 0.2002
O 0.9121 0.3963 0.8647
O 0.9127 0.2775 0.8022
O 0.9137 0.9297 0.4876
O 0.9153 0.6005 0.7604
O 0.9164 0.0514 0.4248
O 0.9205 0.7631 0.4878
O 0.9216 0.9273 0.0961
O 0.9226 0.0844 0.8107
O 0.9336 0.5990 0.4689
O 0.9359 0.6064 0.8787
O 0.9417 0.4139 0.1564
O 0.9434 0.2602 0.1477
O 0.9662 0.0689 0.5262
O 0.9679 0.2676 0.4313
O 0.9715 0.8296 0.9967
O 0.9885 0.5229 0.6541

Output
**ΔH_f (0 K)**: -2.52 eV/atom
**Space-group type**: P1, No. 1
**MP2020-corrected energy**: -6.858 eV per atom
**Magnetic moment**: 0.000 μB per cell
**Final energy**: -0.47297 Ry/atom
**Theoretical density**: 3.2 Mg/m³

Entry from the Materials Project: an optimized crystal structure of CaSn2P2O8 (PBE).

a = 9.4453 Å, b = 9.4453 Å, c = 19.3084 Å
α = 116.03°, β = 116.03°, γ = 32.45°
Element x y z (fractional)
Ca 0.0318 0.6359 0.8374
Ca 0.3641 0.9682 0.6626
Ca 0.6359 0.0318 0.3374
Ca 0.9682 0.3641 0.1626
Sn 0.0000 0.5000 0.0000
Sn 0.1308 0.6822 0.5216
Sn 0.1771 0.8229 0.7500
Sn 0.3178 0.8692 0.9784
Sn 0.5000 0.0000 0.5000
Sn 0.6822 0.1308 0.0216
Sn 0.8229 0.1771 0.2500
Sn 0.8692 0.3178 0.4784
P 0.0058 0.4498 0.3651
P 0.2213 0.7340 0.3835
P 0.2660 0.7787 0.1165
P 0.4498 0.0058 0.8651
P 0.5502 0.9942 0.1349
P 0.7340 0.2213 0.8835
P 0.7787 0.2660 0.6165
P 0.9942 0.5502 0.6349
O 0.0271 0.8268 0.4196
O 0.0469 0.6705 0.6407
O 0.0635 0.8416 0.3040
O 0.0913 0.4491 0.7094
O 0.1237 0.7332 0.0579
O 0.1484 0.2958 0.5691
O 0.1584 0.9365 0.1960
O 0.1732 0.9729 0.0804
O 0.2466 0.3085 0.8941
O 0.2668 0.8763 0.4421
O 0.2958 0.1484 0.0691
O 0.3085 0.2466 0.3941
O 0.3295 0.9531 0.8593
O 0.4282 0.4827 0.8746
O 0.4491 0.0913 0.2094
O 0.4827 0.4282 0.3746
O 0.5173 0.5718 0.6254
O 0.5509 0.9087 0.7906
O 0.5718 0.5173 0.1254
O 0.6705 0.0469 0.1407
O 0.6915 0.7534 0.6059
O 0.7042 0.8516 0.9309
O 0.7332 0.1237 0.5579
O 0.7534 0.6915 0.1059
O 0.8268 0.0271 0.9196
O 0.8416 0.0635 0.8040
O 0.8516 0.7042 0.4309
O 0.8763 0.2668 0.9421
O 0.9087 0.5509 0.2906
O 0.9365 0.1584 0.6960
O 0.9531 0.3295 0.3593
O 0.9729 0.1732 0.5804

Output
**ΔH_f (0 K)**: -2.58 eV/atom
**Space-group type**: C2/c, No. 15
**MP2020-corrected energy**: -7.229 eV per atom
**Magnetic moment**: 0.000 μB per cell
**Final energy**: -0.50025 Ry/atom
**Theoretical density**: 3.8 Mg/m³

Entry from the Materials Project: an optimized crystal structure of Mg14NiSn (PBE).

a = 10.1525 Å, b = 6.2379 Å, c = 6.2379 Å
α = 60.43°, β = 90.00°, γ = 90.00°
Element x y z (fractional)
Mg 0.0000 0.0000 0.0000
Mg 0.0000 0.0038 0.4991
Mg 0.0000 0.4991 0.0038
Mg 0.0000 0.4986 0.4986
Mg 0.2465 0.6674 0.6674
Mg 0.2619 0.1621 0.1621
Mg 0.2640 0.1623 0.6779
Mg 0.2640 0.6779 0.1623
Mg 0.5000 0.4986 0.9965
Mg 0.5000 0.9965 0.4986
Mg 0.7360 0.1623 0.6779
Mg 0.7360 0.6779 0.1623
Mg 0.7381 0.1621 0.1621
Mg 0.7535 0.6674 0.6674
Ni 0.5000 0.0027 0.0027
Sn 0.5000 0.5040 0.5040

Output
**ΔH_f (0 K)**: -0.01 eV/atom
**Space-group type**: Amm2, No. 38
**Magnetic moment**: 0.000 μB per cell
**Final energy**: -0.14861 Ry/atom
**Theoretical density**: 2.5 Mg/m³

Entry from the Materials Project: an optimized crystal structure of CeCo4B4 (PBE).

a = 5.0437 Å, b = 5.0437 Å, c = 7.0333 Å
α = 90.00°, β = 90.00°, γ = 90.00°
Element x y z (fractional)
Ce 0.2500 0.7500 0.2500
Ce 0.7500 0.2500 0.7500
Co 0.0021 0.7500 0.6125
Co 0.2500 0.5021 0.8875
Co 0.2500 0.9979 0.8875
Co 0.4979 0.7500 0.6125
Co 0.5021 0.2500 0.3875
Co 0.7500 0.0021 0.1125
Co 0.7500 0.4979 0.1125
Co 0.9979 0.2500 0.3875
B 0.0768 0.2500 0.0918
B 0.2500 0.0768 0.5918
B 0.2500 0.4232 0.5918
B 0.4232 0.2500 0.0918
B 0.5768 0.7500 0.9082
B 0.7500 0.5768 0.4082
B 0.7500 0.9232 0.4082
B 0.9232 0.7500 0.9082

Output
**ΔH_f (0 K)**: -0.47 eV/atom
**Space-group type**: P4_2/nmc, No. 137
**Magnetic moment**: 0.001 μB per cell
**Final energy**: -0.53341 Ry/atom
**Theoretical density**: 7.8 Mg/m³

Entry from the Materials Project: an optimized crystal structure of CsBi (PBE).

a = 15.6567 Å, b = 7.8920 Å, c = 14.7080 Å
α = 90.00°, β = 113.18°, γ = 90.00°
Element x y z (fractional)
Cs 0.1046 0.1994 0.4671
Cs 0.1046 0.3006 0.9671
Cs 0.1588 0.5748 0.6885
Cs 0.1588 0.9252 0.1885
Cs 0.3472 0.6346 0.0525
Cs 0.3472 0.8654 0.5525
Cs 0.3784 0.1271 0.8643
Cs 0.3784 0.3729 0.3643
Cs 0.6216 0.6271 0.6357
Cs 0.6216 0.8729 0.1357
Cs 0.6528 0.1346 0.4475
Cs 0.6528 0.3654 0.9475
Cs 0.8412 0.0748 0.8115
Cs 0.8412 0.4252 0.3115
Cs 0.8954 0.6994 0.0329
Cs 0.8954 0.8006 0.5329
Bi 0.0695 0.7024 0.3728
Bi 0.0695 0.7976 0.8728
Bi 0.0963 0.0613 0.7307
Bi 0.0963 0.4387 0.2307
Bi 0.4006 0.1126 0.1489
Bi 0.4006 0.3874 0.6489
Bi 0.4362 0.6470 0.8160
Bi 0.4362 0.8530 0.3160
Bi 0.5638 0.1470 0.6840
Bi 0.5638 0.3530 0.1840
Bi 0.5994 0.6126 0.3511
Bi 0.5994 0.8874 0.8511
Bi 0.9037 0.5613 0.7693
Bi 0.9037 0.9387 0.2693
Bi 0.9305 0.2024 0.1272
Bi 0.9305 0.2976 0.6272

Output
**ΔH_f (0 K)**: -0.36 eV/atom
**Space-group type**: P2_1/c, No. 14
**Final energy**: -0.20257 Ry/atom
**Theoretical density**: 5.4 Mg/m³

Entry from the Materials Project: an optimized crystal structure of Ca5Au2 (PBE).

a = 9.1078 Å, b = 9.1078 Å, c = 7.8305 Å
α = 97.15°, β = 97.15°, γ = 44.38°
Element x y z (fractional)
Ca 0.0803 0.9197 0.7500
Ca 0.1387 0.2986 0.3169
Ca 0.2986 0.1387 0.8169
Ca 0.3002 0.5176 0.0790
Ca 0.4824 0.6998 0.4210
Ca 0.5176 0.3002 0.5790
Ca 0.6998 0.4824 0.9210
Ca 0.7014 0.8613 0.1831
Ca 0.8613 0.7014 0.6831
Ca 0.9197 0.0803 0.2500
Au 0.0965 0.6832 0.4186
Au 0.3168 0.9035 0.0814
Au 0.6832 0.0965 0.9186
Au 0.9035 0.3168 0.5814

Output
**ΔH_f (0 K)**: -0.55 eV/atom
**Space-group type**: C2/c, No. 15
**Final energy**: -0.21482 Ry/atom
**Theoretical density**: 4.4 Mg/m³